Entry 1:
First-principles (r²SCAN) data for a relaxed Na3Cu2O4 crystal, as listed in the Materials Project database.

Values from the calculation:
* calculated density: 3.68 g/cm3
* total magnetic moment: 4.0 μB per cell
* calculated formation energy: -1.246 eV/atom
* SG: P2_1/c (14)

a = 5.651 Å, b = 11.019 Å, c = 8.146 Å
α = 90.00°, β = 112.17°, γ = 90.00°
Fractional positions:
Na  0.103  0.079  0.379
Na  0.103  0.421  0.879
Na  0.103  0.702  0.877
Na  0.103  0.798  0.377
Na  0.139  0.102  0.951
Na  0.139  0.398  0.451
Na  0.861  0.602  0.549
Na  0.861  0.898  0.049
Na  0.897  0.202  0.623
Na  0.897  0.298  0.123
Na  0.897  0.579  0.121
Na  0.897  0.921  0.621
Cu  0.469  0.575  0.228
Cu  0.469  0.925  0.728
Cu  0.497  0.673  0.738
Cu  0.497  0.827  0.238
Cu  0.503  0.173  0.762
Cu  0.503  0.327  0.262
Cu  0.531  0.075  0.272
Cu  0.531  0.425  0.772
O  0.239  0.058  0.695
O  0.239  0.442  0.195
O  0.239  0.710  0.175
O  0.239  0.790  0.675
O  0.273  0.546  0.710
O  0.273  0.954  0.210
O  0.281  0.200  0.227
O  0.281  0.300  0.727
O  0.719  0.700  0.273
O  0.719  0.800  0.773
O  0.727  0.046  0.790
O  0.727  0.454  0.290
O  0.761  0.210  0.325
O  0.761  0.290  0.825
O  0.761  0.558  0.805
O  0.761  0.942  0.305

=====

Entry 2:
First-principles (r²SCAN) data for a relaxed DyWC2 crystal, as listed in the Materials Project database.

Values from the calculation:
* calculated density: 11.84 g/cm3
* total magnetic moment: 0.0 μB per cell
* calculated formation energy: -0.400 eV/atom
* SG: Pnma (62)

a = 5.715 Å, b = 3.377 Å, c = 10.769 Å
α = 90.00°, β = 90.00°, γ = 90.00°
Fractional positions:
Dy  0.086  0.250  0.138
Dy  0.414  0.750  0.638
Dy  0.586  0.250  0.362
Dy  0.914  0.750  0.862
W  0.097  0.750  0.389
W  0.403  0.250  0.889
W  0.597  0.750  0.111
W  0.903  0.250  0.611
C  0.160  0.250  0.753
C  0.222  0.250  0.483
C  0.278  0.750  0.983
C  0.340  0.750  0.253
C  0.660  0.250  0.747
C  0.722  0.250  0.017
C  0.778  0.750  0.517
C  0.840  0.750  0.247

=====

Entry 3:
First-principles (r²SCAN) data for a relaxed VCl2 crystal, as listed in the Materials Project database.

Values from the calculation:
* calculated density: 2.90 g/cm3
* total magnetic moment: 3.0 μB per cell
* calculated formation energy: -1.609 eV/atom
* SG: P-3m1 (164)

a = 3.639 Å, b = 3.639 Å, c = 6.091 Å
α = 90.00°, β = 90.00°, γ = 120.00°
Fractional positions:
V  0.000  0.000  0.000
Cl  0.333  0.667  0.222
Cl  0.667  0.333  0.778

=====

Entry 4:
First-principles (r²SCAN) data for a relaxed Li2AcSn crystal, as listed in the Materials Project database.

Values from the calculation:
* calculated density: 6.34 g/cm3
* total magnetic moment: 0.0 μB per cell
* calculated formation energy: -0.474 eV/atom
* SG: Fm-3m (225)

a = 7.222 Å, b = 7.222 Å, c = 7.222 Å
α = 90.00°, β = 90.00°, γ = 90.00°
Fractional positions:
Li  0.250  0.250  0.250
Li  0.250  0.250  0.750
Li  0.250  0.750  0.250
Li  0.250  0.750  0.750
Li  0.750  0.250  0.250
Li  0.750  0.250  0.750
Li  0.750  0.750  0.250
Li  0.750  0.750  0.750
Ac  0.000  0.000  0.000
Ac  0.000  0.500  0.500
Ac  0.500  0.000  0.500
Ac  0.500  0.500  0.000
Sn  0.000  0.000  0.500
Sn  0.000  0.500  0.000
Sn  0.500  0.000  0.000
Sn  0.500  0.500  0.500

=====

Entry 5:
First-principles (r²SCAN) data for a relaxed TiPOs crystal, as listed in the Materials Project database.

Values from the calculation:
* calculated density: 10.74 g/cm3
* total magnetic moment: 0.0 μB per cell
* calculated formation energy: -0.909 eV/atom
* SG: P-62m (189)

a = 6.232 Å, b = 6.232 Å, c = 3.709 Å
α = 90.00°, β = 90.00°, γ = 120.00°
Fractional positions:
Ti  0.000  0.583  0.000
Ti  0.417  0.417  0.000
Ti  0.583  0.000  0.000
P  0.000  0.000  0.000
P  0.333  0.667  0.500
P  0.667  0.333  0.500
Os  0.000  0.253  0.500
Os  0.253  0.000  0.500
Os  0.747  0.747  0.500

=====

Entry 6:
First-principles (r²SCAN) data for a relaxed MgMnPO5 crystal, as listed in the Materials Project database.

Values from the calculation:
* calculated density: 3.64 g/cm3
* total magnetic moment: 0.0 μB per cell
* calculated formation energy: -2.546 eV/atom

a = 6.726 Å, b = 6.766 Å, c = 8.343 Å
α = 90.01°, β = 90.01°, γ = 65.98°
Fractional positions:
O  0.070  0.396  0.702
O  0.755  0.235  0.662
Mn  0.747  0.994  0.760
O  0.423  0.125  0.747
O  0.855  0.852  0.510
Mn  0.247  0.494  0.238
O  0.204  0.572  0.985
O  0.923  0.125  0.247
O  0.570  0.396  0.202
O  0.254  0.736  0.337
P  0.765  0.234  0.107
O  0.355  0.852  0.010
O  0.709  0.069  0.015
P  0.265  0.234  0.607
Mg  0.182  0.289  0.934
Mn  0.747  0.494  0.738
Mg  0.183  0.787  0.565
O  0.571  0.896  0.296
P  0.764  0.734  0.393
O  0.354  0.353  0.489
O  0.704  0.572  0.485
Mg  0.683  0.787  0.065
O  0.071  0.896  0.796
O  0.854  0.353  0.989
O  0.209  0.069  0.515
O  0.255  0.235  0.162
Mg  0.682  0.289  0.434
O  0.423  0.622  0.754
Mn  0.247  0.994  0.260
O  0.754  0.736  0.837
O  0.923  0.622  0.254
P  0.264  0.734  0.893

=====

Entry 7:
First-principles (r²SCAN) data for a relaxed Dy3Pt crystal, as listed in the Materials Project database.

Values from the calculation:
* calculated density: 10.42 g/cm3
* total magnetic moment: 0.0 μB per cell
* calculated formation energy: -0.792 eV/atom
* SG: Pnma (62)

a = 6.991 Å, b = 9.592 Å, c = 6.487 Å
α = 90.00°, β = 90.00°, γ = 90.00°
Fractional positions:
Dy  0.028  0.250  0.132
Dy  0.178  0.063  0.683
Dy  0.178  0.437  0.683
Dy  0.322  0.563  0.183
Dy  0.322  0.937  0.183
Dy  0.472  0.750  0.632
Dy  0.528  0.250  0.368
Dy  0.678  0.063  0.817
Dy  0.678  0.437  0.817
Dy  0.822  0.563  0.317
Dy  0.822  0.937  0.317
Dy  0.972  0.750  0.868
Pt  0.111  0.750  0.452
Pt  0.389  0.250  0.952
Pt  0.611  0.750  0.048
Pt  0.889  0.250  0.548

=====

Entry 8:
First-principles (r²SCAN) data for a relaxed IrI3 crystal, as listed in the Materials Project database.

Values from the calculation:
* calculated density: 6.81 g/cm3
* total magnetic moment: 0.0 μB per cell
* calculated formation energy: -0.231 eV/atom
* SG: C2/m (12)

a = 6.886 Å, b = 11.946 Å, c = 7.111 Å
α = 90.00°, β = 107.07°, γ = 90.00°
Fractional positions:
Ir  0.000  0.167  0.000
Ir  0.000  0.833  0.000
Ir  0.500  0.333  0.000
Ir  0.500  0.667  0.000
I  0.211  0.000  0.222
I  0.244  0.322  0.220
I  0.244  0.678  0.220
I  0.256  0.178  0.780
I  0.256  0.822  0.780
I  0.289  0.500  0.778
I  0.711  0.500  0.222
I  0.744  0.178  0.220
I  0.744  0.822  0.220
I  0.756  0.322  0.780
I  0.756  0.678  0.780
I  0.789  0.000  0.778

=====

Entry 9:
First-principles (r²SCAN) data for a relaxed NaCa3 crystal, as listed in the Materials Project database.

Values from the calculation:
* calculated density: 1.41 g/cm3
* total magnetic moment: 0.0 μB per cell
* calculated formation energy: 0.081 eV/atom
* SG: I4/mmm (139)

a = 5.426 Å, b = 5.426 Å, c = 11.473 Å
α = 90.00°, β = 90.00°, γ = 90.00°
Fractional positions:
Na  0.000  0.000  0.000
Na  0.500  0.500  0.500
Ca  0.000  0.000  0.500
Ca  0.000  0.500  0.250
Ca  0.000  0.500  0.750
Ca  0.500  0.000  0.250
Ca  0.500  0.000  0.750
Ca  0.500  0.500  0.000